# 1
# La2Si5Rh3 PBE relaxed
# Final energy: -0.5049 Ry/atom
# E_form: -0.9610 eV/atom
data_La2Si5Rh3
_chemical_formula_sum 'La8 Si20 Rh12'
_space_group_name_H-M_alt 'I b a m'
_space_group_IT_number 72
_space_group_name_Hall '-I 2 2c'
_cell_length_a 10.028
_cell_length_b 11.934
_cell_length_c 5.923
_cell_angle_alpha 90.00
_cell_angle_beta 90.00
_cell_angle_gamma 90.00
loop_
_atom_site_label
_atom_site_fract_x
_atom_site_fract_y
_atom_site_fract_z
La1 0.233 0.131 0.000
Si1 0.000 0.000 0.250
Si2 0.000 0.275 0.250
Si3 0.151 0.392 0.000
Rh1 0.000 0.500 0.250
Rh2 0.109 0.139 0.500

---

# 2
# ErAl4Mo2 PBE relaxed
# Final energy: -0.4609 Ry/atom
# E_form: -0.3795 eV/atom
data_ErAl4Mo2
_chemical_formula_sum 'Er2 Al8 Mo4'
_space_group_name_H-M_alt 'I 4/m m m'
_space_group_IT_number 139
_space_group_name_Hall '-I 4 2'
_cell_length_a 6.724
_cell_length_b 6.724
_cell_length_c 5.347
_cell_angle_alpha 90.00
_cell_angle_beta 90.00
_cell_angle_gamma 90.00
loop_
_atom_site_label
_atom_site_fract_x
_atom_site_fract_y
_atom_site_fract_z
Er1 0.000 0.000 0.000
Al1 0.194 0.194 0.500
Mo1 0.000 0.500 0.250

---

# 3
# CsMnSb PBE relaxed
# Final energy: -0.3550 Ry/atom
# Size of the total moment: 9.397 μB/cell
# E_form: -0.1654 eV/atom
data_CsMnSb
_chemical_formula_sum 'Cs2 Mn2 Sb2'
_space_group_name_H-M_alt 'P 4/n m m'
_space_group_IT_number 129
_cell_length_a 4.808
_cell_length_b 4.808
_cell_length_c 9.358
_cell_angle_alpha 90.00
_cell_angle_beta 90.00
_cell_angle_gamma 90.00
loop_
_space_group_symop_operation_xyz
'x,y,z'
'-x,-y,-z'
'-y+1/2,x,z'
'y+1/2,-x,-z'
'-x+1/2,-y+1/2,z'
'x+1/2,y+1/2,-z'
'y,-x+1/2,z'
'-y,x+1/2,-z'
'x+1/2,-y,-z'
'-x+1/2,y,z'
'-y,-x,-z'
'y,x,z'
'-x,y+1/2,-z'
'x,-y+1/2,z'
'y+1/2,x+1/2,-z'
'-y+1/2,-x+1/2,z'
loop_
_atom_site_label
_atom_site_fract_x
_atom_site_fract_y
_atom_site_fract_z
Cs1 0.250 0.250 0.157
Mn1 0.250 0.750 0.500
Sb1 0.250 0.250 0.659